## Li4MnVP3O12 (PBE with a Hubbard U)

Data for a geometry-optimized Li4MnVP3O12 structure.

Results
The symmetry is P-1, No. 2. The calculation puts the formation energy at -2.673 eV per atom. The energy above the most stable polymorph in this dataset is 2 meV/atom. As for the crystal system: triclinic.

Cell and atoms, written as POSCAR:
```
Li4MnVP3O12
1.0
8.4397 0.0000 0.0000
-4.1281 7.3742 0.0000
-4.1583 -2.4745 7.8778
Li Mn V P O
8 2 2 6 24
Direct
0.0628 0.3390 0.1463
0.1908 0.2695 0.8605
0.3258 0.7910 0.5872
0.3770 0.0675 0.1012
0.6230 0.9325 0.8988
0.6742 0.2090 0.4128
0.8092 0.7305 0.1395
0.9372 0.6610 0.8537
0.3096 0.6488 0.9653
0.6904 0.3512 0.0347
0.2933 0.1502 0.4410
0.7067 0.8498 0.5590
0.2050 0.7578 0.2438
0.2047 0.9531 0.7435
0.4991 0.5441 0.7481
0.5009 0.4559 0.2519
0.7953 0.0469 0.2565
0.7950 0.2422 0.7562
0.0205 0.1580 0.2814
0.0329 0.5459 0.1927
0.1259 0.8831 0.2703
0.1974 0.9907 0.5791
0.2485 0.8039 0.0972
0.2954 0.4309 0.1025
0.3077 0.8361 0.7937
0.3367 0.4971 0.8010
0.3414 0.1415 0.8915
0.3986 0.3900 0.5872
0.4068 0.8125 0.4134
0.4309 0.2579 0.2900
0.5691 0.7421 0.7100
0.5932 0.1875 0.5866
0.6014 0.6100 0.4128
0.6586 0.8585 0.1085
0.6633 0.5029 0.1990
0.6923 0.1639 0.2063
0.7046 0.5691 0.8975
0.7515 0.1961 0.9028
0.8026 0.0093 0.4209
0.8741 0.1169 0.7297
0.9671 0.4541 0.8073
0.9795 0.8420 0.7186
```

=====

## Li3MnVP3O12 (PBE with a Hubbard U)

Data for a geometry-optimized Li3MnVP3O12 structure.

Results
The symmetry is P1, No. 1. The calculation puts the formation energy at -2.595 eV per atom. The energy above the most stable polymorph in this dataset is 61 meV/atom. As for the crystal system: triclinic.

Cell and atoms, written as POSCAR:
```
Li3MnVP3O12
1.0
9.8315 0.0000 0.0000
0.3915 9.8313 0.0000
0.4224 0.7285 9.8302
Li Mn V P O
12 4 4 12 48
Direct
0.0000 0.0000 0.0000
0.0198 0.1337 0.7479
0.1117 0.2787 0.4681
0.2120 0.8643 0.7835
0.2962 0.7664 0.3023
0.3327 0.0792 0.5892
0.5177 0.9103 0.0842
0.5480 0.6356 0.2814
0.5970 0.3582 0.3962
0.7070 0.6863 0.9722
0.8352 0.4873 0.1842
0.9088 0.3984 0.7061
0.0974 0.6063 0.9938
0.3202 0.3927 0.9749
0.5404 0.3725 0.7601
0.5961 0.8873 0.7042
0.0416 0.6625 0.4920
0.3154 0.1704 0.1943
0.8104 0.0991 0.2568
0.8162 0.8789 0.4845
0.0191 0.2820 0.0503
0.1136 0.9883 0.4005
0.2215 0.4581 0.6835
0.2385 0.4857 0.2833
0.4016 0.0816 0.8785
0.4209 0.6896 0.9072
0.5151 0.9590 0.3756
0.6157 0.3123 0.0806
0.7179 0.5819 0.5586
0.7420 0.1793 0.5724
0.8992 0.7813 0.1875
0.9252 0.8062 0.7853
0.0114 0.9235 0.8246
0.0419 0.7475 0.1246
0.1025 0.5269 0.3569
0.1256 0.3499 0.6426
0.1493 0.8326 0.4263
0.1583 0.0752 0.5124
0.1769 0.0328 0.2598
0.1767 0.6030 0.6236
0.1825 0.2649 0.0592
0.1945 0.4646 0.8448
0.2226 0.5170 0.1236
0.2564 0.3273 0.3158
0.2677 0.7280 0.9264
0.2922 0.0382 0.7867
0.3579 0.5683 0.3187
0.3707 0.0488 0.0338
0.3735 0.4309 0.6486
0.4142 0.2406 0.8497
0.4439 0.5309 0.9020
0.4522 0.3089 0.1030
0.4574 0.0999 0.3189
0.4652 0.7563 0.7635
0.4717 0.8442 0.2906
0.4750 0.9450 0.5287
0.5127 0.7335 0.0164
0.5423 0.0098 0.8479
0.6028 0.2459 0.6107
0.6532 0.3410 0.9282
0.6525 0.5371 0.4333
0.6587 0.4197 0.1730
0.6691 0.5081 0.6961
0.6715 0.1677 0.1301
0.6765 0.9582 0.3531
0.6859 0.7410 0.5659
0.7332 0.0171 0.6097
0.7573 0.2122 0.4147
0.7721 0.8173 0.8234
0.7902 0.6901 0.1417
0.8643 0.2242 0.6444
0.8720 0.9370 0.1474
0.8758 0.5533 0.5572
0.9017 0.7536 0.3482
0.9491 0.8026 0.6251
0.9522 0.0108 0.3975
0.9565 0.2292 0.1890
0.9770 0.4366 0.0343
0.9786 0.6667 0.8516
0.9837 0.1979 0.9338
```

=====

## Li3MnVP3O12 (PBE with a Hubbard U)

Data for a geometry-optimized Li3MnVP3O12 structure.

Results
The symmetry is C2/c, No. 15. The calculation puts the formation energy at -2.583 eV per atom. The energy above the most stable polymorph in this dataset is 72 meV/atom. As for the crystal system: monoclinic.

Cell and atoms, written as POSCAR:
```
Li3MnVP3O12
1.0
5.8740 -8.3803 0.0000
5.8740 8.3803 0.0000
-5.7309 0.0000 8.4457
Li Mn V P O
12 4 4 12 48
Direct
0.1211 0.8789 0.7500
0.1251 0.2468 0.8709
0.2468 0.1251 0.3709
0.2531 0.6223 0.8779
0.3760 0.6240 0.2500
0.3777 0.7469 0.6221
0.6223 0.2531 0.3779
0.6240 0.3760 0.7500
0.7469 0.3777 0.1221
0.7532 0.8749 0.6291
0.8749 0.7532 0.1291
0.8789 0.1211 0.2500
0.0000 0.0000 0.0000
0.0000 0.0000 0.5000
0.5000 0.5000 0.0000
0.5000 0.5000 0.5000
0.0000 0.5000 0.0000
0.0000 0.5000 0.5000
0.5000 0.0000 0.0000
0.5000 0.0000 0.5000
0.1261 0.3782 0.2529
0.1256 0.7481 0.3714
0.2448 0.3723 0.6222
0.2519 0.8744 0.1286
0.3723 0.2448 0.1222
0.3782 0.1261 0.7529
0.6218 0.8739 0.2471
0.6277 0.7552 0.8778
0.7481 0.1256 0.8714
0.7552 0.6277 0.3778
0.8744 0.2519 0.6286
0.8739 0.6218 0.7471
0.0030 0.3913 0.7970
0.0067 0.6123 0.7007
0.0898 0.2073 0.2141
0.0945 0.8869 0.3810
0.1075 0.2016 0.4899
0.1133 0.4096 0.1105
0.1133 0.7006 0.5027
0.1131 0.9055 0.1190
0.2004 0.5045 0.6092
0.2016 0.1075 0.9899
0.2073 0.0898 0.7141
0.2101 0.7005 0.0899
0.2802 0.4067 0.7917
0.2957 0.5102 0.3870
0.2995 0.7899 0.4101
0.2994 0.8867 0.9973
0.3844 0.3866 0.0919
0.3866 0.3844 0.5919
0.3877 0.9933 0.7993
0.3913 0.0030 0.2970
0.4067 0.2802 0.2917
0.4096 0.1133 0.6105
0.4898 0.7043 0.1130
0.4955 0.7996 0.8908
0.5045 0.2004 0.1092
0.5102 0.2957 0.8870
0.5904 0.8867 0.3895
0.5933 0.7198 0.7083
0.6087 0.9970 0.7030
0.6123 0.0067 0.2007
0.6134 0.6156 0.4081
0.6156 0.6134 0.9081
0.7006 0.1133 0.0027
0.7005 0.2101 0.5899
0.7043 0.4898 0.6130
0.7198 0.5933 0.2083
0.7899 0.2995 0.9101
0.7927 0.9102 0.2859
0.7984 0.8925 0.0101
0.7996 0.4955 0.3908
0.8869 0.0945 0.8810
0.8867 0.2994 0.4973
0.8867 0.5904 0.8895
0.8925 0.7984 0.5101
0.9055 0.1131 0.6190
0.9102 0.7927 0.7859
0.9933 0.3877 0.2993
0.9970 0.6087 0.2030
```

=====

## Li3MnVP3O12 (PBE with a Hubbard U)

Data for a geometry-optimized Li3MnVP3O12 structure.

Results
The symmetry is P1, No. 1. The calculation puts the formation energy at -2.622 eV per atom. The energy above the most stable polymorph in this dataset is 33 meV/atom. As for the crystal system: triclinic.

Cell and atoms, written as POSCAR:
```
Li3MnVP3O12
1.0
8.3835 0.0000 0.0000
-4.1744 7.3109 0.0000
-4.1744 -2.4018 7.9261
Li Mn V P O
6 2 2 6 24
Direct
0.0000 0.0000 0.0000
0.0150 0.8057 0.5584
0.1652 0.0005 0.3167
0.2611 0.4741 0.5263
0.5975 0.0629 0.5424
0.8093 0.4059 0.2719
0.4906 0.8759 0.8481
0.9156 0.5838 0.9728
0.5168 0.3984 0.3706
0.8854 0.0777 0.4432
0.0073 0.2739 0.1618
0.4008 0.1993 0.6552
0.4188 0.0002 0.1671
0.7000 0.7795 0.6485
0.7057 0.6892 0.1679
0.9944 0.4749 0.6536
0.0012 0.5122 0.8142
0.0798 0.4749 0.1511
0.1973 0.8945 0.1529
0.1979 0.2416 0.2314
0.2040 0.2213 0.5756
0.2091 0.5925 0.6606
0.3146 0.9902 0.6572
0.4067 0.9575 0.0042
0.4663 0.2150 0.5127
0.5253 0.2209 0.2383
0.5251 0.5709 0.5217
0.5594 0.5608 0.2392
0.5742 0.9573 0.3141
0.5796 0.7117 0.0037
0.5810 0.8693 0.6518
0.5852 0.3491 0.8189
0.8327 0.1095 0.9998
0.8329 0.6064 0.1690
0.8398 0.5206 0.5084
0.8395 0.7738 0.8217
0.8501 0.8969 0.5782
0.8847 0.8917 0.3107
0.8959 0.2545 0.5857
0.9377 0.2536 0.3001
```

=====

## Li6MnV3P6O24 (PBE with a Hubbard U)

Data for a geometry-optimized Li6MnV3P6O24 structure.

Results
The symmetry is R3, No. 146. The calculation puts the formation energy at -2.672 eV per atom. The energy above the most stable polymorph in this dataset is 14 meV/atom. As for the crystal system: trigonal.

Cell and atoms, written as POSCAR:
```
Li6MnV3P6O24
1.0
4.2414 2.4488 7.6045
-4.2414 2.4488 7.6045
0.0000 -4.8976 7.6045
Li Mn V P O
6 1 3 6 24
Direct
0.0165 0.6220 0.3615
0.2078 0.5424 0.9524
0.3615 0.0165 0.6220
0.5424 0.9524 0.2078
0.6220 0.3615 0.0165
0.9524 0.2078 0.5424
0.1377 0.1377 0.1377
0.4297 0.4297 0.4297
0.6322 0.6322 0.6322
0.9346 0.9346 0.9346
0.0344 0.3257 0.7411
0.2423 0.8213 0.5379
0.3257 0.7411 0.0344
0.5379 0.2423 0.8213
0.7411 0.0344 0.3257
0.8213 0.5379 0.2423
0.0240 0.4155 0.1497
0.0751 0.1286 0.7445
0.0822 0.2977 0.8905
0.1183 0.7845 0.7536
0.1286 0.7445 0.0751
0.1497 0.0240 0.4155
0.1627 0.4193 0.5339
0.2806 0.6663 0.4830
0.2977 0.8905 0.0822
0.4155 0.1497 0.0240
0.4193 0.5339 0.1627
0.4393 0.8162 0.4974
0.4517 0.7690 0.8196
0.4830 0.2806 0.6663
0.4974 0.4393 0.8162
0.5339 0.1627 0.4193
0.6663 0.4830 0.2806
0.7445 0.0751 0.1286
0.7536 0.1183 0.7845
0.7690 0.8196 0.4517
0.7845 0.7536 0.1183
0.8162 0.4974 0.4393
0.8196 0.4517 0.7690
0.8905 0.0822 0.2977
```

=====

## Li3MnVP3O12 (PBE with a Hubbard U)

Data for a geometry-optimized Li3MnVP3O12 structure.

Results
The symmetry is P1, No. 1. The calculation puts the formation energy at -2.635 eV per atom. The energy above the most stable polymorph in this dataset is 20 meV/atom. As for the crystal system: triclinic.

Cell and atoms, written as POSCAR:
```
Li3MnVP3O12
1.0
8.4834 0.0000 0.0000
-4.1431 7.9361 0.0000
-0.0463 -4.3117 14.0591
Li Mn V P O
12 4 4 12 48
Direct
0.0000 0.0000 0.0000
0.0246 0.0013 0.6298
0.0683 0.9960 0.3269
0.1752 0.7032 0.5935
0.2194 0.7032 0.2927
0.2521 0.7046 0.9217
0.4993 0.9967 0.4995
0.5251 0.0014 0.1303
0.5743 0.0012 0.8260
0.6779 0.7020 0.0924
0.7275 0.7049 0.7949
0.7555 0.7037 0.4223
0.1027 0.8050 0.7861
0.4020 0.4099 0.8877
0.6488 0.8961 0.6347
0.9007 0.4119 0.3875
0.1457 0.8985 0.1343
0.3453 0.2921 0.5318
0.5992 0.8031 0.2868
0.8467 0.2904 0.0340
0.2918 0.6043 0.0887
0.3548 0.6033 0.4390
0.3576 0.5960 0.7295
0.3942 0.1003 0.6861
0.4003 0.1032 0.9816
0.4534 0.0997 0.3357
0.7851 0.5987 0.5843
0.8523 0.6014 0.9419
0.8544 0.5993 0.2310
0.8933 0.1030 0.1918
0.8955 0.1040 0.4787
0.9619 0.1045 0.8382
0.0040 0.6496 0.8804
0.0344 0.0437 0.2073
0.0469 0.7548 0.2310
0.0716 0.1239 0.5265
0.1126 0.4341 0.0625
0.1411 0.2743 0.8684
0.1861 0.5797 0.3861
0.2013 0.9438 0.6802
0.2135 0.6452 0.7091
0.2454 0.0477 0.0436
0.2660 0.7574 0.0674
0.3121 0.1171 0.4002
0.3192 0.4298 0.4620
0.3246 0.4260 0.6516
0.3518 0.9500 0.8878
0.3562 0.5705 0.8306
0.3623 0.6592 0.1967
0.3754 0.0404 0.2292
0.3907 0.1290 0.5839
0.4039 0.7520 0.5342
0.4351 0.2756 0.9629
0.4360 0.2662 0.7629
0.4357 0.5932 0.0286
0.4761 0.9450 0.3570
0.5123 0.6529 0.3792
0.5374 0.0436 0.7007
0.5504 0.7512 0.7335
0.5739 0.1282 0.0347
0.6034 0.4289 0.5501
0.6280 0.2683 0.3594
0.6784 0.5830 0.8941
0.6988 0.9503 0.1935
0.7117 0.6570 0.2161
0.7458 0.0512 0.5411
0.7696 0.7573 0.5640
0.8137 0.4313 0.9645
0.8163 0.4318 0.1553
0.8205 0.1266 0.9008
0.8392 0.9499 0.3822
0.8489 0.6433 0.6895
0.8618 0.5807 0.3336
0.8880 0.1194 0.0893
0.8938 0.0537 0.7318
0.9098 0.7562 0.0386
0.9262 0.5818 0.5208
0.9346 0.2731 0.2666
0.9357 0.2776 0.4601
0.9741 0.9469 0.8599
```